SrAl: optimized geometry, meta-GGA r2SCAN.

space-group type	P2_13
M_tot	0.00	μB/cell
DFT total energy	-11.13	eV/atom

Structure (POSCAR):
```
SrAl
1.0
12.777 0.000 0.000
0.000 12.777 0.000
0.000 0.000 12.777
Sr Al
32 32
direct
0.807 0.693 0.307
0.998 0.197 0.437
0.020 0.702 0.564
0.436 0.520 0.798
0.702 0.564 0.020
0.794 0.794 0.794
0.206 0.294 0.706
0.937 0.502 0.803
0.197 0.437 0.998
0.193 0.193 0.193
0.520 0.798 0.436
0.307 0.807 0.693
0.798 0.436 0.520
0.202 0.936 0.980
0.980 0.202 0.936
0.294 0.706 0.206
0.693 0.307 0.807
0.480 0.298 0.064
0.002 0.697 0.063
0.706 0.206 0.294
0.803 0.937 0.502
0.498 0.303 0.563
0.064 0.480 0.298
0.303 0.563 0.498
0.697 0.063 0.002
0.936 0.980 0.202
0.298 0.064 0.480
0.437 0.998 0.197
0.063 0.002 0.697
0.564 0.020 0.702
0.502 0.803 0.937
0.563 0.498 0.303
0.686 0.567 0.736
0.259 0.678 0.923
0.434 0.566 0.066
0.436 0.064 0.936
0.736 0.686 0.567
0.567 0.736 0.686
0.566 0.066 0.434
0.314 0.067 0.764
0.064 0.936 0.436
0.564 0.564 0.564
0.067 0.764 0.314
0.764 0.314 0.067
0.322 0.423 0.241
0.678 0.923 0.259
0.077 0.759 0.822
0.577 0.741 0.178
0.236 0.814 0.433
0.066 0.434 0.566
0.759 0.822 0.077
0.923 0.259 0.678
0.264 0.186 0.933
0.741 0.178 0.577
0.178 0.577 0.741
0.934 0.934 0.934
0.822 0.077 0.759
0.814 0.433 0.236
0.186 0.933 0.264
0.433 0.236 0.814
0.933 0.264 0.186
0.241 0.322 0.423
0.423 0.241 0.322
0.936 0.436 0.064
```

SrAl2: optimized geometry, meta-GGA r2SCAN.

space-group type	Fd-3m
M_tot	0.00	μB/cell
DFT total energy	-9.81	eV/atom

Structure (POSCAR):
```
SrAl2
1.0
-5.124 -2.623 -0.977
-0.484 -5.786 0.622
-3.046 -2.212 4.464
Al Sr
4 2
direct
0.000 0.500 0.500
0.500 0.000 0.500
0.500 0.500 0.500
0.500 0.500 0.000
0.875 0.875 0.875
0.125 0.125 0.125
```

Ta11Al4: optimized geometry, meta-GGA r2SCAN.

space-group type	P2/m
M_tot	0.00	μB/cell
DFT total energy	-37.64	eV/atom

Structure (POSCAR):
```
Ta11Al4
1.0
-3.539 -0.264 3.780
-3.522 -8.487 -3.891
6.404 -5.343 5.623
Ta Al
22 8
direct
0.500 0.242 0.434
0.000 0.871 0.537
0.500 0.964 0.370
0.000 0.603 0.602
0.000 0.464 0.126
0.746 0.818 0.821
0.000 0.397 0.398
0.000 0.129 0.463
0.750 0.319 0.684
0.500 0.628 0.036
0.500 0.897 0.103
0.250 0.319 0.684
0.250 0.681 0.316
0.254 0.818 0.821
0.500 0.036 0.630
0.746 0.182 0.179
0.750 0.681 0.316
0.500 0.758 0.566
0.254 0.182 0.179
0.000 0.536 0.874
0.500 0.372 0.964
0.500 0.103 0.897
0.000 0.737 0.065
0.000 0.933 0.260
0.000 0.263 0.935
0.500 0.566 0.764
0.500 0.500 0.500
0.000 0.000 0.000
0.000 0.067 0.740
0.500 0.434 0.236
```

TaTiAl6: optimized geometry, meta-GGA r2SCAN.

space-group type	P4/mmm
M_tot	0.00	μB/cell
DFT total energy	-13.15	eV/atom

Structure (POSCAR):
```
TaTiAl6
1.0
3.824 0.000 0.000
0.000 3.824 0.000
0.000 0.000 8.546
Ti Al Ta
1 6 1
direct
0.500 0.500 0.500
0.000 0.500 0.251
0.500 0.000 0.251
0.500 0.500 0.000
0.500 0.000 0.749
0.000 0.500 0.749
0.000 0.000 0.500
0.000 0.000 0.000
```

Y6Ta4Al43: optimized geometry, meta-GGA r2SCAN.

space-group type	P6_3/mcm
M_tot	0.00	μB/cell
DFT total energy	-11.76	eV/atom

Structure (POSCAR):
```
Y6Ta4Al43
1.0
5.517 -9.555 0.000
5.517 9.555 0.000
0.000 0.000 17.781
Ta Al Y
8 86 12
direct
0.000 0.726 0.750
0.000 0.000 0.500
0.000 0.000 0.000
0.274 0.000 0.250
0.000 0.274 0.250
0.726 0.000 0.750
0.726 0.726 0.250
0.274 0.274 0.750
0.444 0.597 0.250
0.158 0.763 0.337
0.597 0.153 0.750
0.667 0.333 0.125
0.333 0.667 0.375
0.505 0.753 0.500
0.763 0.605 0.663
0.842 0.605 0.163
0.505 0.753 0.000
0.153 0.556 0.250
0.000 0.159 0.385
0.667 0.333 0.875
0.395 0.158 0.837
0.841 0.000 0.615
0.745 0.745 0.530
0.852 0.852 0.750
0.000 0.841 0.615
0.148 0.000 0.750
0.255 0.255 0.030
0.333 0.667 0.875
0.247 0.753 0.500
0.597 0.444 0.250
0.753 0.247 0.500
0.153 0.597 0.750
0.000 0.159 0.115
0.333 0.667 0.625
0.255 0.255 0.470
0.753 0.505 0.000
0.841 0.000 0.885
0.237 0.395 0.163
0.000 0.745 0.470
0.495 0.247 0.000
0.000 0.852 0.250
0.159 0.000 0.115
0.842 0.237 0.837
0.000 0.148 0.750
0.763 0.158 0.337
0.753 0.505 0.500
0.556 0.403 0.750
0.605 0.842 0.163
0.000 0.745 0.030
0.255 0.000 0.530
0.403 0.847 0.250
0.556 0.153 0.250
0.605 0.842 0.337
0.000 0.841 0.885
0.847 0.444 0.750
0.159 0.159 0.885
0.842 0.237 0.663
0.255 0.000 0.970
0.605 0.763 0.663
0.745 0.000 0.470
0.247 0.495 0.000
0.395 0.158 0.663
0.148 0.148 0.250
0.841 0.841 0.115
0.763 0.158 0.163
0.495 0.247 0.500
0.847 0.403 0.250
0.247 0.753 0.000
0.444 0.847 0.750
0.158 0.395 0.663
0.159 0.159 0.615
0.000 0.255 0.970
0.237 0.842 0.837
0.667 0.333 0.375
0.395 0.237 0.337
0.237 0.842 0.663
0.763 0.605 0.837
0.667 0.333 0.625
0.841 0.841 0.385
0.842 0.605 0.337
0.333 0.667 0.125
0.745 0.745 0.970
0.852 0.000 0.250
0.159 0.000 0.385
0.403 0.556 0.750
0.745 0.000 0.030
0.158 0.395 0.837
0.247 0.495 0.500
0.000 0.255 0.530
0.158 0.763 0.163
0.753 0.247 0.000
0.237 0.395 0.337
0.605 0.763 0.837
0.395 0.237 0.163
0.000 0.469 0.404
0.531 0.531 0.096
0.469 0.000 0.404
0.000 0.531 0.596
0.469 0.469 0.904
0.531 0.000 0.596
0.000 0.469 0.096
0.469 0.469 0.596
0.469 0.000 0.096
0.531 0.531 0.404
0.531 0.000 0.904
0.000 0.531 0.904
```

TbAl2: optimized geometry, meta-GGA r2SCAN.

space-group type	Fd-3m
M_tot	0.00	μB/cell
DFT total energy	-15.49	eV/atom

Structure (POSCAR):
```
TbAl2
1.0
4.808 0.000 2.776
1.603 4.533 2.776
0.000 0.000 5.551
Tb Al
2 4
direct
0.875 0.875 0.875
0.125 0.125 0.125
0.500 0.500 0.500
0.500 0.000 0.500
0.000 0.500 0.500
0.500 0.500 0.000
```

TbAl3: optimized geometry, meta-GGA r2SCAN.

space-group type	Pm-3m
M_tot	0.00	μB/cell
DFT total energy	-13.31	eV/atom

Structure (POSCAR):
```
TbAl3
1.0
-1.287 2.898 2.820
-3.793 -1.891 0.212
1.401 -2.457 3.164
Al Tb
3 1
direct
0.000 0.500 0.500
0.500 0.000 0.500
0.500 0.500 0.000
0.000 0.000 0.000
```

TbAl3: optimized geometry, meta-GGA r2SCAN.

space-group type	R-3m
M_tot	0.00	μB/cell
DFT total energy	-13.33	eV/atom

Structure (POSCAR):
```
TbAl3
1.0
5.677 -0.020 5.429
2.307 5.187 5.429
-0.032 -0.020 7.855
Al Tb
9 3
direct
0.299 0.733 0.299
0.000 0.500 0.500
0.701 0.701 0.267
0.701 0.267 0.701
0.500 0.500 0.000
0.299 0.299 0.733
0.500 0.000 0.500
0.733 0.299 0.299
0.267 0.701 0.701
0.783 0.783 0.783
0.217 0.217 0.217
0.000 0.000 0.000
```

Tb2Al: optimized geometry, meta-GGA r2SCAN.

space-group type	Pnma
M_tot	0.00	μB/cell
DFT total energy	-23.41	eV/atom

Structure (POSCAR):
```
Tb2Al
1.0
-4.616 2.032 0.835
2.774 4.915 3.373
0.776 5.045 -7.989
Al Tb
4 8
direct
0.750 0.710 0.897
0.750 0.210 0.603
0.250 0.290 0.103
0.250 0.790 0.397
0.750 0.026 0.291
0.250 0.309 0.426
0.750 0.691 0.574
0.250 0.809 0.074
0.250 0.974 0.709
0.250 0.474 0.791
0.750 0.526 0.209
0.750 0.191 0.926
```

TbAl3: optimized geometry, meta-GGA r2SCAN.

space-group type	P6_3/mmc
M_tot	0.00	μB/cell
DFT total energy	-13.34	eV/atom

Structure (POSCAR):
```
TbAl3
1.0
6.276 0.001 0.000
-3.137 5.435 0.000
0.000 0.000 4.587
Tb Al
2 6
direct
0.333 0.667 0.750
0.667 0.333 0.250
0.710 0.855 0.250
0.855 0.710 0.750
0.290 0.145 0.750
0.855 0.145 0.750
0.145 0.290 0.250
0.145 0.855 0.250
```

TbAl3: optimized geometry, meta-GGA r2SCAN.

space-group type	R-3m
M_tot	0.00	μB/cell
DFT total energy	-13.32	eV/atom

Structure (POSCAR):
```
TbAl3
1.0
12.066 -3.049 0.004
12.066 3.049 0.004
11.294 0.000 5.228
Al Tb
15 5
direct
0.500 0.500 0.000
0.119 0.119 0.564
0.363 0.873 0.363
0.881 0.881 0.436
0.637 0.127 0.637
0.564 0.119 0.119
0.363 0.363 0.873
0.637 0.637 0.127
0.436 0.881 0.881
0.873 0.363 0.363
0.127 0.637 0.637
0.119 0.564 0.119
0.500 0.000 0.500
0.000 0.500 0.500
0.881 0.436 0.881
0.400 0.400 0.400
0.131 0.131 0.131
0.869 0.869 0.869
0.000 0.000 0.000
0.600 0.600 0.600
```

Al12Tc: optimized geometry, meta-GGA r2SCAN.

space-group type	Im-3
M_tot	0.00	μB/cell
DFT total energy	-8.39	eV/atom

Structure (POSCAR):
```
Al12Tc
1.0
-4.000 1.024 4.979
2.748 -5.824 0.604
4.591 4.556 -0.049
Al Tc
12 1
direct
0.879 0.692 0.187
0.692 0.813 0.505
0.813 0.121 0.308
0.505 0.692 0.813
0.308 0.187 0.495
0.813 0.505 0.692
0.308 0.813 0.121
0.692 0.187 0.879
0.187 0.495 0.308
0.187 0.879 0.692
0.121 0.308 0.813
0.495 0.308 0.187
0.000 0.000 0.000
```

Number 1: ΔH_f (0 K) -191 meV per atom. Number 2: ΔH_f (0 K) -272 meV per atom. Number 3: ΔH_f (0 K) -214 meV per atom. Number 4: ΔH_f (0 K) -405 meV per atom. Number 5: ΔH_f (0 K) -335 meV per atom. Number 6: ΔH_f (0 K) -591 meV per atom. Number 7: ΔH_f (0 K) -456 meV per atom. Number 8: ΔH_f (0 K) -477 meV per atom. Number 9: ΔH_f (0 K) -343 meV per atom. Number 10: ΔH_f (0 K) -489 meV per atom. Number 11: ΔH_f (0 K) -469 meV per atom. Number 12: ΔH_f (0 K) -180 meV per atom.